Entry 1:
Tb12Mn5C15 (PBE, optimized geometry); VASP energy = -7.8361 eV per atom; space-group type = P-62m, No. 189
1.0
10.4971 0.0000 0.0000
-5.2486 9.0908 0.0000
0.0000 0.0000 5.0891
Tb Mn C
12 5 15
Cartesian
-2.2417 3.8828 0.0000 Tb
-4.1650 7.2140 0.0000 Tb
-1.8842 6.6369 2.5446 Tb
1.0836 1.8768 0.0000 Tb
0.4430 4.1405 2.5446 Tb
4.4834 0.0000 0.0000 Tb
3.3643 2.4539 2.5446 Tb
1.4413 7.4041 2.5446 Tb
3.0068 5.2080 0.0000 Tb
6.6898 1.6866 2.5446 Tb
8.3300 0.0000 0.0000 Tb
5.6915 4.9502 2.5446 Tb
-0.8017 1.3887 2.5446 Mn
1.6035 0.0000 2.5446 Mn
0.0000 6.0605 0.0000 Mn
5.2486 3.0303 0.0000 Mn
4.4468 7.7021 2.5446 Mn
-1.6971 2.9395 2.5446 C
-2.3724 4.1091 2.5446 C
-4.1978 7.2709 2.5446 C
-1.7292 6.4908 0.0000 C
1.0507 1.8199 2.5446 C
0.4919 4.3478 0.0000 C
3.3942 0.0000 2.5446 C
4.7448 0.0000 2.5446 C
3.5194 2.6000 0.0000 C
1.2373 7.3429 0.0000 C
2.8762 4.9817 2.5446 C
3.5514 6.1513 2.5446 C
6.4858 1.7479 0.0000 C
8.3957 0.0000 2.5446 C
5.7405 4.7429 0.0000 C



Entry 2:
Tb3Mn2C6 (PBE, optimized geometry); VASP energy = -8.2400 eV per atom; space-group type = P6_3/m, No. 176
1.0
8.1206 0.0000 0.0000
-4.0603 7.0327 0.0000
0.0000 0.0000 4.9983
Tb Mn C
6 4 12
Cartesian
-1.0173 2.6689 1.2496 Tb
-1.2404 6.5793 1.2496 Tb
1.8026 2.2154 3.7487 Tb
2.2577 4.8172 1.2496 Tb
5.3007 0.4534 3.7487 Tb
5.0776 4.3638 3.7487 Tb
0.0000 0.0000 0.0000 Mn
0.0000 0.0000 2.4991 Mn
0.0000 4.6885 3.7487 Mn
4.0603 2.3442 1.2496 Mn
-0.6298 1.5967 3.7487 C
-0.6086 2.9628 3.7487 C
-2.3626 6.7798 3.7487 C
1.0679 1.3438 1.2496 C
-1.1902 6.0783 3.7487 C
2.2615 2.0084 1.2496 C
1.7988 5.0243 3.7487 C
5.2505 0.9543 1.2496 C
2.9924 5.6889 3.7487 C
6.4229 0.2529 1.2496 C
4.6689 4.0699 1.2496 C
4.6901 5.4360 1.2496 C



Which of these has the lowest VASP energy?
Tb3Mn2C6



Which value of VASP energy does entry 2 give?
-8.2400 eV per atom